14
Lattice="0.0000 4.8287 0.0000 0.0000 0.0000 7.4460 4.8287 0.0000 0.0000" Properties=species:S:1:pos:R:3 comment="LiCoPO4 | the Materials Project | GGA+U | optimized geometry" de_polymorph_mev_per_atom=11 m_tot_mub_per_cell=0.000 formation_energy_kj_per_mol_atoms=-231.2 piezo_max_c_m2=0.31 energy_mp2020_ev_per_atom=-7.285 dft_energy_ha_per_atom=-0.245 pbc="T T T"
O 0.8935 1.4938 0.9782
P 0.0000 2.4143 1.8615
Li 0.0000 0.0000 3.7230
O 3.9351 3.3348 0.9782
O 0.9205 3.3078 2.7447
Li 2.4143 2.4143 0.0000
Co 0.0000 0.0000 0.0000
O 1.4938 3.9351 6.4678
Co 2.4143 2.4143 3.7230
O 3.3348 0.8935 6.4678
P 2.4143 0.0000 5.5845
O 1.5208 0.9205 4.7013
O 3.9082 1.5208 2.7447
O 3.3078 3.9082 4.7013

28
Lattice="5.9320 0.0000 0.0000 2.9619 5.1434 0.0000 2.9048 1.7015 9.7341" Properties=species:S:1:pos:R:3 comment="Li2TiCr3O8 | the Materials Project | GGA+U | optimized geometry" de_polymorph_mev_per_atom=1 m_tot_mub_per_cell=16.000 formation_energy_kj_per_mol_atoms=-247.7 energy_mp2020_ev_per_atom=-8.300 dft_energy_ha_per_atom=-0.275 pbc="T T T"
Li 1.4515 0.8441 3.0471
Li 4.4172 2.5803 1.8050
Li 7.3816 4.2646 7.9292
Li 10.3472 6.0008 6.6870
Ti 1.4810 2.5717 0.0000
Ti 4.4184 0.8507 4.8671
Cr 0.0000 0.0000 0.0000
Cr 2.9334 3.4224 4.8671
Cr 4.4211 2.5542 7.3027
Cr 2.9660 0.0000 0.0000
Cr 5.8994 3.4224 4.8671
Cr 7.3776 4.2907 2.4314
O 2.7853 3.4852 1.1543
O 1.4957 0.8845 1.0445
O 3.0943 1.7595 6.0045
O 4.4902 4.0877 5.9944
O 5.7662 3.3158 8.6359
O 7.4171 6.1588 8.6370
O 4.4698 2.5683 3.8308
O 6.0347 5.0703 3.7431
O 5.7641 1.7746 5.9910
O 7.3289 4.2765 5.9034
O 4.3816 0.6861 1.0971
O 6.0326 3.5291 1.0983
O 7.3085 2.7572 3.7397
O 8.7044 5.0854 3.7296
O 10.3030 5.9604 8.6896
O 9.0134 3.3596 8.5799

32
Lattice="5.9466 0.0000 0.0000 1.5886 6.3546 0.0000 1.4202 -0.2632 7.6047" Properties=species:S:1:pos:R:3 comment="Li9Mn2Co5O16 | the Materials Project | GGA+U | optimized geometry" de_polymorph_mev_per_atom=34 m_tot_mub_per_cell=6.000 formation_energy_kj_per_mol_atoms=-176.5 energy_mp2020_ev_per_atom=-6.524 dft_energy_ha_per_atom=-0.214 pbc="T T T"
Li 0.0000 0.0000 0.0000
Li 1.5186 3.0361 3.7801
Li 3.0303 5.3391 4.6694
Li 3.0225 4.6474 1.8646
Li 4.4927 3.7144 6.6380
Li 4.4960 3.0429 3.7803
Li 4.4977 2.3439 0.9112
Li 5.9794 1.4123 5.6339
Li 5.9541 0.7449 2.9030
Mn 5.9957 6.0751 7.5780
Mn 6.0334 5.4017 4.7151
Co 1.5232 2.3494 0.9467
Co 2.9241 1.4765 5.6291
Co 2.9095 0.7549 2.8492
Co 6.0414 4.6277 1.9197
Co 7.4562 3.6955 6.6102
O 1.4668 4.3085 0.4192
O 1.5854 0.9883 4.2463
O 3.0137 3.3117 5.2826
O 1.6039 0.3285 1.3135
O 2.9578 2.5894 2.2731
O 4.6942 5.8084 6.1362
O 4.3892 1.6070 7.1509
O 4.6565 5.0994 3.3848
O 4.3911 0.9480 4.2588
O 4.5823 4.4662 0.4181
O 4.3325 0.2245 1.3357
O 6.0647 3.5439 5.2602
O 7.3296 5.7311 6.1615
O 5.9994 2.7641 2.2551
O 7.3617 5.0914 3.3728
O 7.4811 1.7594 7.1034

15
Lattice="3.2489 0.0000 0.0000 -1.6244 2.8136 0.0000 0.0000 0.0000 24.0064" Properties=species:S:1:pos:R:3 comment="MgFeAgO2 | the Materials Project | GGA+U | optimized geometry" de_polymorph_mev_per_atom=0 m_tot_mub_per_cell=12.099 formation_energy_kj_per_mol_atoms=-133.4 energy_mp2020_ev_per_atom=-5.942 dft_energy_ha_per_atom=-0.192 pbc="T T T"
Mg 0.0000 0.0000 0.0000
Mg 0.0000 1.8757 16.0043
Mg 1.6244 0.9379 8.0021
Fe 0.0000 0.0000 5.4926
Fe 0.0000 1.8757 21.4969
Fe 1.6244 0.9379 13.4948
Ag 0.0000 0.0000 18.5767
Ag 0.0000 1.8757 10.5746
Ag 1.6244 0.9379 2.5724
O 0.0000 0.0000 15.3797
O 0.0000 0.0000 20.9207
O 0.0000 1.8757 7.3776
O 0.0000 1.8757 12.9185
O 1.6244 0.9379 4.9164
O 1.6244 0.9379 23.3819

25
Lattice="4.7132 0.0000 0.0000 -0.0023 4.7207 0.0000 -0.0642 -0.0325 11.9388" Properties=species:S:1:pos:R:3 comment="LiFe8O14F2 | the Materials Project | GGA+U | optimized geometry" de_polymorph_mev_per_atom=21 m_tot_mub_per_cell=35.117 formation_energy_kj_per_mol_atoms=-146.6 energy_mp2020_ev_per_atom=-7.230 dft_energy_ha_per_atom=-0.224 pbc="T T T"
Li 0.0000 0.0000 0.0000
Fe 2.3192 0.0230 5.1574
Fe 2.3152 0.0364 8.0492
Fe 2.2970 0.0271 11.1335
Fe 2.4454 4.6136 2.2101
Fe 4.5217 2.2569 9.6058
Fe 4.6689 2.3896 0.6757
Fe 4.6677 2.3993 3.7593
Fe 4.6707 2.3788 6.6565
O 0.7836 1.3799 11.1202
O 0.8053 1.4440 8.1039
O 0.8625 1.4869 5.1994
O 1.4391 3.8110 0.6925
O 1.4154 3.8420 6.6102
O 1.4611 3.8144 3.7068
O 3.1080 0.8692 9.5956
O 3.2061 0.9327 6.5769
O 3.2463 0.8945 3.7032
O 3.3038 0.9129 0.7412
O 3.7391 3.2540 8.1035
O 3.7269 3.3056 11.0968
O 3.7862 3.2911 5.2315
O 3.8732 3.2424 2.2129
F 0.9443 1.4078 2.2075
F 1.3339 3.7491 9.6009

40
Lattice="5.7279 0.0000 0.0000 0.0000 10.6891 0.0000 -2.3821 0.0000 7.3273" Properties=species:S:1:pos:R:3 comment="MnNbH8O5F5 | the Materials Project | GGA+U | optimized geometry" m_tot_mub_per_cell=9.998 formation_energy_kj_per_mol_atoms=-196.9 energy_mp2020_ev_per_atom=-6.077 dft_energy_ha_per_atom=-0.210 pbc="T T T"
Mn -0.5945 0.0000 1.8432
Mn 3.9403 5.3445 5.4841
Nb 2.2039 5.3714 1.6794
Nb 1.1419 0.0269 5.6479
H -0.0758 6.9372 3.8951
H 1.1144 9.0851 0.2329
H -0.4349 7.7747 5.1717
H 0.7565 8.2525 1.5150
H -0.3164 2.9751 5.2326
H 0.8776 2.3590 1.5758
H 1.2947 1.4560 0.3577
H 0.1100 3.8827 4.0215
H 3.2359 9.2272 3.3058
H 2.0512 6.8006 6.9696
H 2.4683 7.7036 5.7516
H 3.6622 8.3197 2.0947
H 3.7808 2.4302 2.1556
H 2.5893 2.9080 5.8123
H 3.4216 1.5927 3.4323
H 2.2315 3.7406 7.0945
O -0.7745 7.0712 4.5733
O 0.4174 8.9538 0.9146
O -0.1915 3.9113 4.9564
O 1.0062 1.4242 1.2967
O 1.4952 5.6969 0.0803
O 1.8506 0.3524 7.2470
O 2.3397 6.7688 6.0307
O 3.5374 9.2558 2.3709
O 2.9285 3.6092 6.4127
O 4.1204 1.7267 2.7541
F -0.4047 1.2589 5.9154
F 0.3051 10.3191 3.7506
F 0.8084 4.0757 2.2689
F 0.0284 9.1696 6.2545
F 1.2344 6.8501 2.6040
F 2.1114 1.5056 4.7233
F 3.3175 3.8250 1.0728
F 2.5375 9.4203 5.0584
F 3.0408 4.9746 3.5767
F 3.7505 6.6035 1.4120

53
Lattice="6.9034 0.0000 0.0000 -2.5295 10.0773 0.0000 -0.0073 -0.0189 10.9802" Properties=species:S:1:pos:R:3 comment="Sr16Mn8O29 | the Materials Project | GGA+U | optimized geometry" de_polymorph_mev_per_atom=0 formation_energy_kj_per_mol_atoms=-264.6 energy_mp2020_ev_per_atom=-7.342 dft_energy_ha_per_atom=-0.247 pbc="T T T"
Sr 0.0000 0.0000 0.0000
Sr -2.4899 9.9621 5.5629
Sr -0.2638 5.9231 2.8798
Sr -0.1817 6.0761 8.3991
Sr 1.0198 2.3450 2.7420
Sr 1.1281 2.4466 8.3020
Sr 0.7898 8.5459 5.5872
Sr 0.9122 8.5738 0.0493
Sr 2.0755 4.9822 5.6201
Sr 2.2319 4.9422 0.1020
Sr 4.4466 0.8597 2.7333
Sr 4.4344 1.0031 8.2962
Sr 3.2137 7.4191 2.8611
Sr 3.3039 7.5619 8.3938
Sr 5.5125 3.5343 0.0746
Sr 5.6574 3.4185 5.5689
Mn -0.8540 9.2540 2.8100
Mn -0.8382 9.2721 8.3351
Mn 2.7653 1.7015 0.0667
Mn 2.8071 1.7024 5.5665
Mn 3.8559 4.2131 2.8488
Mn 3.8870 4.2112 8.3047
Mn 4.9311 6.7289 5.5699
Mn 4.9913 6.7601 0.0762
O -1.4364 7.9406 4.0547
O -1.4257 7.9025 7.0398
O -1.3237 8.1096 9.8478
O -0.2214 5.8780 5.6846
O -0.0472 6.0418 0.2078
O 0.9164 2.5316 0.0628
O 1.0508 2.5746 5.4566
O 2.1668 0.2968 1.3235
O 2.2184 0.3786 6.9378
O 2.2292 0.5327 9.6006
O 2.2974 0.5834 4.1404
O 0.9187 8.3533 2.7512
O 0.9961 8.4929 8.3408
O 2.0103 4.8830 2.9485
O 2.1130 5.0962 8.2378
O 3.2614 2.8717 1.5656
O 3.3223 2.9623 9.7525
O 3.4126 3.1241 6.7565
O 4.5871 0.9301 0.0527
O 4.6638 0.9832 5.4534
O 3.0967 7.4473 5.6895
O 3.2269 7.6366 0.1877
O 4.3044 5.2498 4.4486
O 4.4639 5.5254 9.5172
O 4.4677 5.6071 1.5054
O 5.6095 3.3330 2.9045
O 5.7437 3.5189 8.2027
O 4.1917 9.9267 2.7008
O 6.7465 -0.0100 8.2922

16
Lattice="4.3010 0.0000 0.0000 0.0000 4.3010 0.0000 0.0000 0.0000 8.4385" Properties=species:S:1:pos:R:3 comment="Mg6FeBO8 | the Materials Project | GGA+U | optimized geometry" de_polymorph_mev_per_atom=0 m_tot_mub_per_cell=3.657 formation_energy_kj_per_mol_atoms=-233.7 energy_mp2020_ev_per_atom=-6.443 dft_energy_ha_per_atom=-0.219 pbc="T T T"
Mg 0.0000 0.0000 0.0000
Mg 0.0000 0.0000 4.2193
Mg 0.0000 2.1505 2.0035
Mg 0.0000 2.1505 6.4350
Mg 2.1505 0.0000 2.0035
Mg 2.1505 0.0000 6.4350
Fe 2.1505 2.1505 4.2193
B 2.1505 2.1505 0.0000
O 0.0000 0.0000 2.1107
O 0.0000 0.0000 6.3278
O 0.0000 2.1505 0.0000
O 0.0000 2.1505 4.2193
O 2.1505 0.0000 0.0000
O 2.1505 0.0000 4.2193
O 2.1505 2.1505 1.4135
O 2.1505 2.1505 7.0250